# PBE CaZnGe4O12, relaxed
# V: 11.38 A^3/atom
# energy of formation from the pure elements: -1.710 eV/atom
# mass density: 4768 kg/m³
data_CaZnGe4O12
_chemical_formula_sum 'Ca2 Zn2 Ge8 O24'
_cell_length_a 7.534
_cell_length_b 7.540
_cell_length_c 7.210
_cell_angle_alpha 90.00
_cell_angle_beta 90.00
_cell_angle_gamma 90.00
_symmetry_space_group_name_H-M 'A m m 2'
_symmetry_Int_Tables_number 38
_symmetry_space_group_name_Hall 'A 2 -2'
loop_
_atom_site_label
_atom_site_fract_x
_atom_site_fract_y
_atom_site_fract_z
Ca1 0.000 0.000 0.000
Zn1 0.500 0.000 0.446
Ge1 0.261 0.236 0.720
O1 0.000 0.201 0.723
O2 0.211 0.000 0.250
O3 0.239 0.198 0.972
O4 0.311 0.000 0.650
O5 0.500 0.197 0.257

# PBE Ca3Ge2P4, relaxed
# V: 22.97 A^3/atom
# energy of formation from the pure elements: -0.792 eV/atom
# mass density: 3127 kg/m³
data_Ca3Ge2P4
_chemical_formula_sum 'Ca12 Ge8 P16'
_cell_length_a 7.149
_cell_length_b 17.572
_cell_length_c 7.089
_cell_angle_alpha 90.00
_cell_angle_beta 111.74
_cell_angle_gamma 90.00
_symmetry_space_group_name_H-M 'P 1 21/c 1'
_symmetry_Int_Tables_number 14
_symmetry_space_group_name_Hall '-P 2ybc'
loop_
_atom_site_label
_atom_site_fract_x
_atom_site_fract_y
_atom_site_fract_z
Ca1 0.215 0.183 0.012
Ca2 0.257 0.060 0.512
Ca3 0.262 0.560 0.504
Ge1 0.209 0.626 0.030
Ge2 0.320 0.742 0.915
P1 0.004 0.559 0.748
P2 0.034 0.685 0.223
P3 0.487 0.197 0.773
P4 0.498 0.066 0.254

# PBE CaGe2Pd2, relaxed
# V: 19.36 A^3/atom
# energy of formation from the pure elements: -0.715 eV/atom
# mass density: 6830 kg/m³
data_CaGe2Pd2
_chemical_formula_sum 'Ca2 Ge4 Pd4'
_cell_length_a 4.367
_cell_length_b 4.367
_cell_length_c 10.154
_cell_angle_alpha 90.00
_cell_angle_beta 90.00
_cell_angle_gamma 90.00
_symmetry_space_group_name_H-M 'I 4/m m m'
_symmetry_Int_Tables_number 139
_symmetry_space_group_name_Hall '-I 4 2'
loop_
_atom_site_label
_atom_site_fract_x
_atom_site_fract_y
_atom_site_fract_z
Ca1 0.000 0.000 0.000
Ge1 0.000 0.000 0.375
Pd1 0.000 0.500 0.250

# PBE CaGePt, relaxed
# V: 20.12 A^3/atom
# energy of formation from the pure elements: -0.907 eV/atom
# mass density: 8467 kg/m³
data_CaGePt
_chemical_formula_sum 'Ca4 Ge4 Pt4'
_cell_length_a 7.234
_cell_length_b 4.446
_cell_length_c 7.509
_cell_angle_alpha 90.00
_cell_angle_beta 90.00
_cell_angle_gamma 90.00
_symmetry_space_group_name_H-M 'P n m a'
_symmetry_Int_Tables_number 62
_symmetry_space_group_name_Hall '-P 2ac 2n'
loop_
_atom_site_label
_atom_site_fract_x
_atom_site_fract_y
_atom_site_fract_z
Ca1 0.007 0.250 0.196
Ge1 0.180 0.250 0.583
Pt1 0.198 0.750 0.408

# PBE Ca2GePt2, relaxed
# V: 21.59 A^3/atom
# energy of formation from the pure elements: -0.949 eV/atom
# mass density: 8353 kg/m³
data_Ca2GePt2
_chemical_formula_sum 'Ca8 Ge4 Pt8'
_cell_length_a 9.726
_cell_length_b 5.674
_cell_length_c 8.003
_cell_angle_alpha 90.00
_cell_angle_beta 102.16
_cell_angle_gamma 90.00
_symmetry_space_group_name_H-M 'C 1 2/c 1'
_symmetry_Int_Tables_number 15
_symmetry_space_group_name_Hall '-C 2yc'
loop_
_atom_site_label
_atom_site_fract_x
_atom_site_fract_y
_atom_site_fract_z
Ca1 0.152 0.130 0.154
Ge1 0.000 0.374 0.750
Pt1 0.128 0.367 0.501

# PBE Ca3Ge13Rh4, relaxed
# V: 18.58 A^3/atom
# energy of formation from the pure elements: -0.450 eV/atom
# mass density: 6596 kg/m³
data_Ca3Ge13Rh4
_chemical_formula_sum 'Ca6 Ge26 Rh8'
_cell_length_a 9.058
_cell_length_b 9.058
_cell_length_c 9.058
_cell_angle_alpha 90.00
_cell_angle_beta 90.00
_cell_angle_gamma 90.00
_symmetry_space_group_name_H-M 'P m -3 n'
_symmetry_Int_Tables_number 223
_symmetry_space_group_name_Hall '-P 4n 2 3'
loop_
_atom_site_label
_atom_site_fract_x
_atom_site_fract_y
_atom_site_fract_z
Ca1 0.000 0.250 0.500
Ge1 0.000 0.000 0.000
Ge2 0.000 0.302 0.145
Rh1 0.250 0.250 0.250

# PBE CaGe2Ru2, relaxed
# V: 18.50 A^3/atom
# energy of formation from the pure elements: -0.516 eV/atom
# mass density: 6955 kg/m³
data_CaGe2Ru2
_chemical_formula_sum 'Ca2 Ge4 Ru4'
_cell_length_a 4.291
_cell_length_b 4.291
_cell_length_c 10.050
_cell_angle_alpha 90.00
_cell_angle_beta 90.00
_cell_angle_gamma 90.00
_symmetry_space_group_name_H-M 'I 4/m m m'
_symmetry_Int_Tables_number 139
_symmetry_space_group_name_Hall '-I 4 2'
loop_
_atom_site_label
_atom_site_fract_x
_atom_site_fract_y
_atom_site_fract_z
Ca1 0.000 0.000 0.000
Ge1 0.000 0.000 0.367
Ru1 0.000 0.500 0.250

# PBE SrCaGe, relaxed
# V: 31.10 A^3/atom
# energy of formation from the pure elements: -0.609 eV/atom
# mass density: 3566 kg/m³
data_SrCaGe
_chemical_formula_sum 'Sr4 Ca4 Ge4'
_cell_length_a 8.156
_cell_length_b 4.969
_cell_length_c 9.207
_cell_angle_alpha 90.00
_cell_angle_beta 90.00
_cell_angle_gamma 90.00
_symmetry_space_group_name_H-M 'P n m a'
_symmetry_Int_Tables_number 62
_symmetry_space_group_name_Hall '-P 2ac 2n'
loop_
_atom_site_label
_atom_site_fract_x
_atom_site_fract_y
_atom_site_fract_z
Sr1 0.022 0.250 0.178
Ca1 0.147 0.250 0.573
Ge1 0.233 0.750 0.394